DFT (GGA+U) results for a geometry-optimized Mn3O2F4 structure.

Summary:
Its calculated total energy is -119.10 eV per cell. The energy above the most stable polymorph in this dataset is 15 meV/atom. The value obtained for the calculated volume is 12.3 Å³ per atom. For the formation energy, the calculation gives -2.526 eV per atom. The space group is C2, No. 5.

Cell lengths 5.783, 5.783, 7.839 Å; angles 110.15, 110.15, 68.11 degrees
Fractional positions:
Mn  0.000  0.000  0.000
Mn  0.343  0.343  0.842
Mn  0.362  0.298  0.329
Mn  0.657  0.657  0.158
Mn  0.702  0.638  0.671
Mn  0.996  0.004  0.500
O  0.304  0.696  0.000
O  0.646  0.002  0.324
O  0.697  0.303  0.000
O  0.998  0.354  0.676
F  0.045  0.609  0.327
F  0.115  0.090  0.299
F  0.239  0.219  0.040
F  0.391  0.955  0.673
F  0.452  0.419  0.622
F  0.581  0.548  0.378
F  0.781  0.761  0.960
F  0.910  0.885  0.701

=====

DFT (GGA+U) results for a geometry-optimized Nb3VP6O24 structure.

Summary:
Its calculated total energy is -269.23 eV per cell. The value obtained for the calculated volume is 14.6 Å³ per atom. For the formation energy, the calculation gives -2.847 eV per atom. The space group is R3, No. 146.

Cell lengths 8.986, 8.986, 8.986 Å; angles 58.60, 58.60, 58.60 degrees
Fractional positions:
Nb  0.000  0.000  0.000
Nb  0.218  0.218  0.218
Nb  0.718  0.718  0.718
V  0.501  0.501  0.501
P  0.115  0.819  0.393
P  0.326  0.608  0.888
P  0.393  0.115  0.819
P  0.608  0.888  0.326
P  0.819  0.393  0.115
P  0.888  0.326  0.608
O  0.070  0.295  0.439
O  0.075  0.858  0.225
O  0.138  0.994  0.361
O  0.148  0.778  0.924
O  0.225  0.075  0.858
O  0.279  0.645  0.420
O  0.295  0.439  0.070
O  0.350  0.579  0.725
O  0.361  0.138  0.994
O  0.420  0.279  0.645
O  0.439  0.070  0.295
O  0.493  0.640  0.862
O  0.568  0.937  0.798
O  0.579  0.725  0.350
O  0.640  0.862  0.493
O  0.645  0.420  0.279
O  0.725  0.350  0.579
O  0.778  0.924  0.148
O  0.798  0.568  0.937
O  0.858  0.225  0.075
O  0.862  0.493  0.640
O  0.924  0.148  0.778
O  0.937  0.798  0.568
O  0.994  0.361  0.138

=====

DFT (GGA+U) results for a geometry-optimized Ba2CaCr2CuF14 structure.

Summary:
Its calculated total energy is -227.85 eV per cell. The value obtained for the calculated volume is 14.4 Å³ per atom. For the formation energy, the calculation gives -3.417 eV per atom. The space group is C2/c, No. 15.

Cell lengths 7.552, 7.552, 15.035 Å; angles 91.26, 91.26, 42.08 degrees
Fractional positions:
Ba  0.118  0.257  0.122
Ba  0.257  0.118  0.622
Ba  0.743  0.882  0.378
Ba  0.882  0.743  0.878
Ca  0.422  0.578  0.250
Ca  0.578  0.422  0.750
Cr  0.099  0.144  0.375
Cr  0.144  0.099  0.875
Cr  0.856  0.901  0.125
Cr  0.901  0.856  0.625
Cu  0.500  0.500  0.000
Cu  0.500  0.500  0.500
F  0.035  0.644  0.222
F  0.070  0.915  0.345
F  0.085  0.930  0.155
F  0.120  0.601  0.045
F  0.129  0.701  0.520
F  0.155  0.349  0.402
F  0.176  0.586  0.710
F  0.299  0.871  0.980
F  0.349  0.155  0.902
F  0.356  0.965  0.278
F  0.385  0.509  0.885
F  0.399  0.880  0.455
F  0.414  0.824  0.790
F  0.491  0.615  0.615
F  0.509  0.385  0.385
F  0.586  0.176  0.210
F  0.601  0.120  0.545
F  0.615  0.491  0.115
F  0.644  0.035  0.722
F  0.651  0.845  0.098
F  0.701  0.129  0.020
F  0.824  0.414  0.290
F  0.845  0.651  0.598
F  0.871  0.299  0.480
F  0.880  0.399  0.955
F  0.915  0.070  0.845
F  0.930  0.085  0.655
F  0.965  0.356  0.778